# 1
The following is a PBE-GGA calculation of a relaxed structure of SbH12C6N9Cl6, from the Materials Project.

The structure in extended XYZ format:
```
136
Lattice="8.4822 0.0000 0.0000 0.0000 11.6383 0.0000 0.0000 0.0000 20.2098" Properties=species:S:1:pos:R:3 pbc="T T T"
Sb 0.4683 2.2622 8.2530
Sb 3.7728 9.3761 18.3578
Sb 4.7094 3.5569 11.9568
Sb 8.0139 8.0814 1.8519
H 0.3809 9.6062 13.8620
H 0.4634 11.2872 5.3933
H 0.6666 4.7652 11.4882
H 0.6897 1.7706 2.9778
H 0.7865 7.4673 17.9564
H 1.5126 8.6590 10.0216
H 1.5441 0.2758 19.4040
H 1.5835 3.9333 4.0798
H 1.6635 5.1918 0.7710
H 1.6683 1.7427 16.2868
H 1.7489 5.2550 16.9586
H 1.8001 1.5462 12.3687
H 2.4410 10.0921 2.2638
H 2.4922 6.3833 6.8537
H 2.5728 9.8956 6.1819
H 2.5776 6.4465 10.8758
H 2.6576 7.7050 14.1847
H 2.6970 11.3625 9.2991
H 2.7285 2.9793 20.1265
H 3.4546 4.1710 7.8515
H 3.5514 9.8677 13.0827
H 3.5745 6.8731 1.3833
H 3.7777 0.3511 15.4982
H 3.8602 2.0321 3.7571
H 4.6220 7.8512 6.3478
H 4.7044 6.1703 14.8165
H 4.9077 1.0540 8.7215
H 4.9307 4.0486 17.2320
H 5.0276 9.9902 2.2534
H 5.7537 8.7985 10.1882
H 5.7852 5.5434 0.8058
H 5.8246 1.8858 16.1299
H 5.9046 0.6273 19.4388
H 5.9093 4.0765 3.9230
H 5.9900 0.5642 3.2512
H 6.0412 4.2729 7.8411
H 6.6821 7.3654 17.9460
H 6.7332 11.0742 13.3560
H 6.8139 7.5619 14.0279
H 6.8186 11.0110 9.3339
H 6.8986 9.7525 6.0251
H 6.9381 6.0949 10.9106
H 6.9696 2.8398 0.0833
H 7.6956 1.6481 12.3582
H 7.7925 7.5897 7.1271
H 7.8156 10.5843 18.8264
H 8.0188 5.4680 4.7116
H 8.1013 3.7871 16.4527
C 0.0754 2.5960 3.3315
C 0.4823 10.3096 5.8619
C 0.5654 5.7698 11.0918
C 0.7072 5.5336 17.0851
C 0.9665 7.7743 10.3384
C 1.1313 0.7659 12.7218
C 3.1098 10.8724 2.6169
C 3.2746 3.8640 0.2335
C 3.5339 6.1047 6.9802
C 3.6757 5.8685 0.9869
C 3.7588 1.3287 15.9668
C 4.1656 9.0423 13.4364
C 4.3165 3.2231 16.8783
C 4.7234 7.1479 14.3478
C 4.8065 0.0494 9.1179
C 4.9483 0.2855 3.1247
C 5.2076 9.6831 9.8714
C 5.3723 5.0533 7.4880
C 7.3509 6.5850 17.5928
C 7.5157 1.9552 19.9762
C 7.7750 11.3528 13.2296
C 7.9168 11.5889 19.2228
C 7.9999 4.4904 4.2429
C 8.4067 8.4152 6.7734
N 0.2298 6.6833 17.5918
N 0.3421 1.8449 19.9704
N 0.3521 10.6060 13.5146
N 0.5638 0.5889 19.5020
N 0.5723 3.7215 3.9268
N 1.2357 8.4565 6.8352
N 1.5148 11.2418 13.2048
N 1.5548 6.6242 10.7863
N 1.5601 9.6455 6.2614
N 2.6810 1.9929 16.3663
N 2.6862 5.0141 0.6814
N 2.7263 0.3965 3.0999
N 3.0054 3.1818 16.9400
N 3.6688 7.9169 14.0317
N 3.6773 11.0494 9.3971
N 3.8890 1.0323 3.4097
N 3.8989 9.7934 9.8656
N 4.0112 4.9550 7.4869
N 4.4709 10.7742 2.6179
N 4.5832 3.9743 0.2393
N 4.5931 6.8515 6.6952
N 4.8049 5.2302 0.7078
N 4.8134 2.0977 16.2829
N 5.4768 9.0010 13.3746
N 5.7558 6.2156 7.0050
N 5.7959 10.8333 9.4235
N 5.8012 7.8120 13.9483
N 6.9221 3.8263 3.8434
N 6.9273 0.8051 19.5284
N 6.9674 5.4227 17.1099
N 7.2465 2.6374 3.2697
N 7.9098 9.5406 6.1780
N 7.9183 6.4081 10.8127
N 8.1301 4.7868 16.8001
N 8.1400 7.6640 10.3442
N 8.2523 0.8641 12.7228
Cl 0.4689 4.7010 7.4975
Cl 0.4659 7.5784 14.1176
Cl 0.4710 11.2417 9.2442
Cl 1.3959 7.4857 3.4298
Cl 1.5353 8.7229 20.0115
Cl 2.0388 9.9815 16.6765
Cl 2.2023 1.6568 6.5716
Cl 2.7058 2.9154 9.9067
Cl 2.8452 4.1526 13.5347
Cl 3.7701 0.3966 19.3490
Cl 3.7752 4.0599 4.0127
Cl 3.7722 6.9373 17.6024
Cl 4.7100 1.1182 12.7123
Cl 4.7070 9.8791 6.0922
Cl 4.7121 6.2158 10.9656
Cl 5.6370 9.9717 16.7800
Cl 5.7764 8.7346 0.1982
Cl 6.2799 7.4759 3.5333
Cl 6.4434 4.1624 13.6381
Cl 6.9468 2.9037 10.3031
Cl 7.0863 1.6666 6.6751
Cl 8.0112 5.4225 0.8607
Cl 8.0163 1.7592 16.1971
Cl 8.0132 10.5201 2.6074
```



# 2
The following is a PBE-GGA calculation of a relaxed structure of SbHC3N3Cl9, from the Materials Project.

The structure in extended XYZ format:
```
68
Lattice="13.3995 0.0000 0.0000 0.0000 9.9131 0.0000 -7.2913 0.0000 12.1110" Properties=species:S:1:pos:R:3 pbc="T T T"
Sb -0.0180 1.2096 5.4738
Sb -3.6636 3.7469 11.5293
Sb 9.7718 6.1662 0.5817
Sb 6.1262 8.7035 6.6372
H -1.2858 6.8692 3.5560
H -4.9315 8.0005 9.6115
H 11.0396 1.9126 2.4995
H 7.3940 3.0440 8.5550
C -1.5223 6.4068 5.5913
C -5.1680 8.4629 11.6469
C 0.5177 6.2460 4.4519
C -3.1279 8.6237 10.5074
C 0.3876 5.8942 6.6697
C 4.0332 8.9755 0.6142
C 2.0750 0.9377 11.4968
C 5.7206 4.0189 5.4413
C 9.2361 1.2895 1.6036
C 5.5904 3.6671 7.6591
C 11.2761 1.4503 0.4642
C 7.6305 3.5063 6.5197
N -0.8164 6.5585 4.4297
N -4.4621 8.3112 10.4852
N -0.9453 6.0734 6.7232
N 2.7003 8.7963 0.6676
N 1.1380 5.9158 5.5619
N -2.5077 8.9539 11.6174
N 8.6159 0.9593 0.4937
N 4.9702 3.9973 6.5492
N 3.4078 1.1169 11.4434
N 7.0535 3.8397 5.3879
N 10.5702 1.6019 1.6258
N 6.9246 3.3546 7.6813
Cl -3.1835 6.6588 5.5374
Cl -6.8292 8.2109 11.5929
Cl -2.1273 0.0653 5.1658
Cl -5.7730 4.8913 11.2213
Cl -4.5887 1.9460 10.0954
Cl -0.9431 3.0106 4.0399
Cl 0.8494 0.0829 3.5331
Cl -2.7963 4.8736 9.5886
Cl 1.3557 6.2784 2.9958
Cl -2.2900 8.5913 9.0513
Cl -0.9336 2.3311 7.4034
Cl 2.7121 2.6255 1.3479
Cl 4.3974 5.5619 0.8125
Cl 0.7518 9.3078 6.8680
Cl 2.0072 2.4332 5.7130
Cl -1.6385 2.5234 11.7685
Cl 1.1774 5.6240 8.1288
Cl 4.8231 9.2457 2.0733
Cl 1.2851 0.6674 10.0377
Cl 4.9307 4.2892 3.9822
Cl 7.7467 7.3897 0.3425
Cl 4.1010 7.4800 6.3980
Cl 5.3564 0.6053 5.2430
Cl 1.7107 4.3512 11.2985
Cl 3.3961 7.2877 10.7631
Cl 7.0417 7.5820 4.7076
Cl 8.3981 1.3218 3.0598
Cl 4.7525 3.6348 9.1153
Cl 8.9045 5.0395 2.5224
Cl 5.2588 9.8302 8.5779
Cl 7.0512 6.9026 8.0711
Cl 10.6969 7.9671 2.0156
Cl 11.8812 5.0218 0.8897
Cl 8.2355 9.8479 6.9452
Cl 12.9374 1.7022 0.5181
Cl 9.2917 3.2544 6.5736
```



# 3
The following is a PBE-GGA calculation of a relaxed structure of SbH6CN3Cl6, from the Materials Project.

The structure in extended XYZ format:
```
68
Lattice="13.3430 0.0000 0.0000 0.0000 8.2059 0.0000 -3.2540 0.0000 11.5268" Properties=species:S:1:pos:R:3 pbc="T T T"
Sb 0.0000 0.0000 0.0000
Sb -1.6270 4.1029 5.7634
Sb 5.0445 0.0000 5.7634
Sb 6.6715 4.1029 0.0000
H -0.9730 0.7893 7.4856
H 0.6540 3.3136 1.7222
H 0.7199 5.0024 2.1106
H -0.9071 7.3063 7.8740
H 2.4787 1.9344 2.2034
H 0.8517 2.1685 7.9668
H 2.7117 5.9207 3.0538
H 1.0847 6.3881 8.8172
H 2.2132 1.5487 8.8493
H 3.8402 2.5543 3.0859
H 3.9607 4.8683 3.5828
H 2.3337 7.4404 9.3462
H 7.7553 0.7654 2.1806
H 6.1283 3.3375 7.9440
H 6.2488 5.6516 8.4409
H 7.8758 6.6572 2.6775
H 9.0044 1.8178 2.7096
H 7.3774 2.2851 8.4730
H 9.2374 6.0373 3.5600
H 7.6104 6.2714 9.3233
H 10.9961 0.8995 3.6528
H 9.3691 3.2034 9.4162
H 9.4351 4.8923 9.8046
H 11.0621 7.4165 4.0412
C 0.7617 0.1676 8.4087
C 2.3887 3.9353 2.6453
C 7.7004 4.2705 8.8814
C 9.3274 8.0382 3.1181
N -0.4424 8.2048 7.8443
N 1.1846 4.1040 2.0809
N 1.3203 1.3779 8.4035
N 2.9473 2.7251 2.6402
N 3.0135 4.9657 3.2248
N 1.3865 7.3431 8.9881
N 8.7026 0.8628 2.5386
N 7.0756 3.2401 8.3020
N 7.1417 5.4808 8.8866
N 8.7687 6.8280 3.1232
N 10.5314 0.0011 3.6825
N 8.9044 4.1018 9.4459
Cl -0.2175 5.8961 4.9929
Cl -1.8445 6.4127 10.7563
Cl -1.6006 1.6403 10.9123
Cl 0.0264 2.4627 5.1489
Cl -0.6490 4.2618 7.9850
Cl 0.9780 8.0470 2.2216
Cl 1.0575 4.4536 11.2602
Cl 2.6845 7.8552 5.4968
Cl 5.2603 0.0191 3.3390
Cl 3.6333 4.0839 9.1024
Cl 3.0557 1.7102 11.5231
Cl 4.6827 2.3927 5.7597
Cl 5.4064 5.8131 5.7670
Cl 7.0334 6.4957 0.0037
Cl 6.4557 4.1220 2.4243
Cl 4.8287 8.1868 8.1877
Cl 7.4045 0.3507 6.0300
Cl 9.0315 3.7523 0.2666
Cl 9.1111 0.1589 9.3051
Cl 10.7381 3.9441 3.5418
Cl 10.0627 5.7432 6.3779
Cl 11.6897 6.5656 0.6145
Cl 11.9336 1.7931 0.7705
Cl 10.3066 2.3098 6.5339
```



# 4
The following is a PBE-GGA calculation of a relaxed structure of SbH32C8N4Cl7, from the Materials Project.

The structure in extended XYZ format:
```
104
Lattice="10.4126 0.0000 0.0000 0.0000 13.8490 0.0000 0.0000 0.0000 8.6511" Properties=species:S:1:pos:R:3 pbc="T T T"
Sb 0.0000 0.0000 0.6399
Sb 5.2063 6.9245 8.0112
H 0.1918 5.1425 7.1041
H 0.5055 5.1828 0.9975
H 0.7635 10.4304 8.4807
H 0.7837 9.4182 1.9979
H 0.8163 12.4719 5.4988
H 1.0648 7.8303 1.2472
H 1.2768 7.7111 7.4022
H 1.4082 9.2346 6.4848
H 1.6211 0.2209 5.3211
H 1.6729 10.5734 3.9584
H 1.8427 6.1103 4.5929
H 1.8709 12.8850 3.2827
H 1.9578 3.8154 3.8453
H 2.0420 3.9706 5.6315
H 2.1790 9.5345 0.0818
H 2.4466 12.7614 6.1987
H 2.7596 5.8369 2.4524
H 3.0273 2.6100 8.5693
H 3.1643 10.8950 3.0196
H 3.2485 10.7399 4.8058
H 3.3354 5.9605 5.3684
H 3.3636 13.0348 4.0581
H 3.5334 3.6490 4.6927
H 3.5852 7.1454 3.3300
H 3.7981 2.3101 2.1662
H 3.9295 0.7866 1.2488
H 4.1415 0.9058 7.4038
H 4.3900 5.5474 3.1522
H 4.4226 2.4937 6.6532
H 4.4428 3.5059 0.1703
H 4.7008 12.1072 7.6536
H 5.0145 12.0670 1.5470
H 5.3981 1.7820 1.5470
H 5.7118 1.7417 7.6536
H 5.9698 10.3431 0.1703
H 5.9900 11.3553 6.6532
H 6.0226 8.3015 3.1522
H 6.2711 12.9431 7.4038
H 6.4831 13.0624 1.2488
H 6.6145 11.5389 2.1662
H 6.8273 6.7036 3.3300
H 6.8792 10.2000 4.6927
H 7.0490 0.8141 4.0581
H 7.0772 7.8884 5.3684
H 7.1641 3.1091 4.8058
H 7.2483 2.9539 3.0196
H 7.3853 11.2390 8.5693
H 7.6529 8.0121 2.4524
H 7.9659 1.0876 6.1987
H 8.2336 4.3145 0.0818
H 8.3705 9.8784 5.6315
H 8.4548 10.0336 3.8453
H 8.5417 0.9640 3.2827
H 8.5699 7.7386 4.5929
H 8.7397 3.2755 3.9584
H 8.7915 13.6281 5.3211
H 9.0043 4.6144 6.4848
H 9.1358 6.1379 7.4022
H 9.3478 6.0186 1.2472
H 9.5963 1.3770 5.4988
H 9.6289 4.4308 1.9979
H 9.6491 3.4186 8.4807
H 9.9071 8.6662 0.9975
H 10.2208 8.7065 7.1041
C 0.5754 8.7993 1.1226
C 0.8862 8.7255 7.3014
C 1.7746 12.9856 5.3634
C 2.5669 4.1635 4.6864
C 2.6394 11.0880 3.9647
C 3.4317 6.0611 3.2877
C 4.3201 1.8010 1.3497
C 4.6309 1.8748 7.5284
C 5.7817 11.9742 7.5284
C 6.0925 12.0480 1.3497
C 6.9809 7.7878 3.2877
C 7.7732 2.7610 3.9647
C 7.8457 9.6854 4.6864
C 8.6380 0.8633 5.3634
C 9.5264 5.1235 7.3014
C 9.8372 5.0497 1.1226
N 1.1465 9.4658 8.5693
N 2.4222 12.5531 4.0957
N 2.7841 5.6286 4.5554
N 4.0598 2.5413 0.0818
N 6.3528 11.3077 0.0818
N 7.6285 8.2203 4.5554
N 7.9903 1.2958 4.0957
N 9.2661 4.3832 8.5693
Cl 0.0000 6.9245 4.2363
Cl 0.7738 1.5499 2.5615
Cl 1.0039 2.0460 7.6093
Cl 2.3346 12.5691 0.6559
Cl 2.8717 5.6446 7.9952
Cl 4.2024 8.9705 1.0418
Cl 4.4325 8.4743 6.0896
Cl 5.2063 0.0000 4.4148
Cl 5.9801 5.3746 6.0896
Cl 6.2102 4.8784 1.0418
Cl 7.5409 8.2043 7.9952
Cl 8.0779 1.2799 0.6559
Cl 9.4087 11.8029 7.6093
Cl 9.6388 12.2991 2.5615
```



Number 1: DFT total energy -195.38 eV per formula unit, formation enthalpy at 0 K -1228 kJ/mol of formula units. Number 2: DFT total energy -82.14 eV per formula unit, formation enthalpy at 0 K -1043 kJ/mol of formula units. Number 3: DFT total energy -78.88 eV per formula unit, formation enthalpy at 0 K -1230 kJ/mol of formula units. Number 4: DFT total energy -252.36 eV per formula unit, formation enthalpy at 0 K -2301 kJ/mol of formula units.